*1*
Below is LiFeP3O9 after structural relaxation, with properties calculated at the GGA+U level.

Summary:
Space group: Cc, No. 9

a = 6.564 Å, b = 6.564 Å, c = 9.806 Å
α = 90.09°, β = 90.09°, γ = 61.92°
Positions (direct):
Li  0.139  0.861  0.500
Li  0.861  0.139  0.000
Fe  0.676  0.680  0.030
Fe  0.680  0.676  0.530
P  0.066  0.372  0.783
P  0.068  0.577  0.278
P  0.372  0.066  0.283
P  0.383  0.578  0.774
P  0.577  0.068  0.778
P  0.578  0.383  0.274
O  0.135  0.308  0.283
O  0.149  0.567  0.805
O  0.308  0.135  0.783
O  0.312  0.571  0.252
O  0.364  0.697  0.640
O  0.371  0.939  0.411
O  0.400  0.952  0.147
O  0.436  0.676  0.898
O  0.567  0.149  0.305
O  0.571  0.312  0.752
O  0.676  0.436  0.398
O  0.686  0.922  0.654
O  0.691  0.979  0.914
O  0.697  0.364  0.140
O  0.922  0.686  0.154
O  0.939  0.371  0.911
O  0.952  0.400  0.647
O  0.979  0.691  0.414

***

*2*
Below is LiFeP3O9 after structural relaxation, with properties calculated at the GGA+U level.

Summary:
Space group: P2_12_12_1, No. 19

a = 8.536 Å, b = 8.639 Å, c = 8.855 Å
α = 90.00°, β = 90.00°, γ = 90.00°
Positions (direct):
Li  0.153  0.135  0.114
Li  0.347  0.865  0.614
Li  0.653  0.365  0.886
Li  0.847  0.635  0.386
Fe  0.128  0.857  0.341
Fe  0.372  0.143  0.841
Fe  0.628  0.643  0.659
Fe  0.872  0.357  0.159
P  0.028  0.322  0.818
P  0.189  0.478  0.309
P  0.200  0.809  0.938
P  0.300  0.191  0.438
P  0.311  0.522  0.809
P  0.472  0.678  0.318
P  0.528  0.178  0.182
P  0.689  0.022  0.691
P  0.700  0.691  0.062
P  0.800  0.309  0.562
P  0.811  0.978  0.191
P  0.972  0.822  0.682
O  0.040  0.775  0.845
O  0.092  0.613  0.364
O  0.104  0.877  0.584
O  0.124  0.382  0.181
O  0.129  0.194  0.878
O  0.139  0.464  0.764
O  0.158  0.861  0.094
O  0.192  0.092  0.344
O  0.228  0.364  0.450
O  0.272  0.636  0.950
O  0.308  0.908  0.844
O  0.342  0.139  0.594
O  0.361  0.536  0.264
O  0.371  0.806  0.378
O  0.376  0.618  0.681
O  0.396  0.123  0.084
O  0.408  0.387  0.864
O  0.460  0.225  0.345
O  0.540  0.725  0.155
O  0.592  0.887  0.636
O  0.604  0.623  0.416
O  0.624  0.118  0.819
O  0.629  0.306  0.122
O  0.639  0.036  0.236
O  0.658  0.639  0.906
O  0.692  0.408  0.656
O  0.728  0.136  0.550
O  0.772  0.864  0.050
O  0.808  0.592  0.156
O  0.842  0.361  0.406
O  0.861  0.964  0.736
O  0.871  0.694  0.622
O  0.876  0.882  0.319
O  0.896  0.377  0.916
O  0.908  0.113  0.136
O  0.960  0.275  0.655

***

*3*
Below is LiFeP3O9 after structural relaxation, with properties calculated at the GGA+U level.

Summary:
Space group: P-1, No. 2

a = 9.469 Å, b = 9.525 Å, c = 9.768 Å
α = 108.70°, β = 104.48°, γ = 110.54°
Positions (direct):
Li  0.074  0.308  0.214
Li  0.233  0.775  0.742
Li  0.767  0.225  0.258
Li  0.926  0.692  0.786
Fe  0.332  0.934  0.508
Fe  0.376  0.173  0.300
Fe  0.624  0.827  0.700
Fe  0.668  0.066  0.492
P  0.010  0.396  0.647
P  0.046  0.786  0.156
P  0.193  0.082  0.916
P  0.325  0.432  0.593
P  0.419  0.660  0.290
P  0.481  0.853  0.105
P  0.519  0.147  0.895
P  0.581  0.340  0.710
P  0.675  0.568  0.407
P  0.807  0.918  0.084
P  0.954  0.214  0.844
P  0.990  0.604  0.353
O  0.007  0.368  0.800
O  0.038  0.568  0.678
O  0.049  0.730  0.998
O  0.103  0.171  0.840
O  0.109  0.900  0.803
O  0.143  0.750  0.497
O  0.166  0.372  0.631
O  0.208  0.935  0.296
O  0.219  0.136  0.087
O  0.269  0.522  0.269
O  0.283  0.316  0.426
O  0.367  0.180  0.908
O  0.371  0.827  0.953
O  0.388  0.700  0.142
O  0.406  0.620  0.648
O  0.433  0.386  0.713
O  0.456  0.982  0.746
O  0.493  0.828  0.445
O  0.507  0.172  0.555
O  0.544  0.018  0.254
O  0.567  0.614  0.287
O  0.594  0.380  0.352
O  0.612  0.300  0.858
O  0.629  0.173  0.047
O  0.633  0.820  0.092
O  0.717  0.684  0.574
O  0.731  0.478  0.731
O  0.781  0.864  0.913
O  0.792  0.065  0.704
O  0.834  0.628  0.369
O  0.857  0.250  0.503
O  0.891  0.100  0.197
O  0.897  0.829  0.160
O  0.951  0.270  0.002
O  0.962  0.432  0.322
O  0.993  0.632  0.200

***

*4*
Below is LiFeP3O9 after structural relaxation, with properties calculated at the GGA+U level.

Summary:
Space group: Cc, No. 9

a = 6.500 Å, b = 6.500 Å, c = 9.764 Å
α = 90.20°, β = 90.20°, γ = 59.78°
Positions (direct):
Li  0.007  0.993  0.500
Li  0.993  0.007  0.000
Fe  0.665  0.670  0.500
Fe  0.670  0.665  0.000
P  0.056  0.365  0.750
P  0.056  0.584  0.250
P  0.363  0.584  0.750
P  0.365  0.056  0.250
P  0.584  0.056  0.750
P  0.584  0.363  0.250
O  0.124  0.570  0.754
O  0.125  0.310  0.251
O  0.309  0.570  0.245
O  0.310  0.125  0.751
O  0.362  0.701  0.617
O  0.370  0.935  0.383
O  0.375  0.936  0.117
O  0.377  0.693  0.883
O  0.570  0.124  0.254
O  0.570  0.309  0.745
O  0.693  0.377  0.383
O  0.697  0.931  0.618
O  0.699  0.939  0.883
O  0.701  0.362  0.117
O  0.931  0.697  0.118
O  0.935  0.370  0.883
O  0.936  0.375  0.617
O  0.939  0.699  0.383

***

Stability ranking, top entry: *2*; the second entry is 29 meV/atom less favorable.

***

*1*
Below is LiFeP3O9 after structural relaxation, with properties calculated at the GGA+U level.

Summary:
Space group: R3, No. 146

a = 6.374 Å, b = 6.374 Å, c = 6.374 Å
α = 108.10°, β = 108.10°, γ = 108.10°
Positions (direct):
Li  0.000  0.000  0.000
Fe  0.466  0.466  0.466
P  0.444  0.571  0.991
P  0.571  0.991  0.444
P  0.991  0.444  0.571
O  0.085  0.354  0.388
O  0.212  0.612  0.847
O  0.354  0.388  0.085
O  0.388  0.085  0.354
O  0.536  0.842  0.582
O  0.582  0.536  0.842
O  0.612  0.847  0.212
O  0.842  0.582  0.536
O  0.847  0.212  0.612

***

*2*
Below is LiFeP3O9 after structural relaxation, with properties calculated at the GGA+U level.

Summary:
Space group: P1, No. 1

a = 6.413 Å, b = 6.430 Å, c = 6.444 Å
α = 107.23°, β = 107.13°, γ = 107.79°
Positions (direct):
Li  0.000  0.000  0.000
Fe  0.631  0.631  0.635
P  0.137  0.701  0.563
P  0.566  0.140  0.700
P  0.697  0.563  0.139
O  0.022  0.776  0.727
O  0.288  0.569  0.616
O  0.291  0.939  0.539
O  0.540  0.289  0.936
O  0.559  0.607  0.284
O  0.620  0.291  0.569
O  0.728  0.022  0.774
O  0.776  0.730  0.027
O  0.935  0.540  0.292

***

Stability ranking, top entry: *2*; the second entry is 32 meV/atom less favorable.

***

*1*
Below is Li8Fe7P8O32 after structural relaxation, with properties calculated at the GGA+U level.

Summary:
Space group: Pmn2_1, No. 31

a = 12.134 Å, b = 9.532 Å, c = 10.373 Å
α = 90.00°, β = 90.00°, γ = 90.00°
Positions (direct):
Li  0.119  0.131  0.000
Li  0.120  0.370  0.475
Li  0.122  0.620  0.000
Li  0.122  0.874  0.491
Li  0.378  0.126  0.991
Li  0.378  0.380  0.500
Li  0.380  0.630  0.975
Li  0.381  0.869  0.500
Li  0.619  0.869  0.500
Li  0.620  0.630  0.975
Li  0.622  0.126  0.991
Li  0.622  0.380  0.500
Li  0.878  0.620  0.000
Li  0.878  0.874  0.491
Li  0.880  0.370  0.475
Li  0.881  0.131  0.000
Fe  0.000  0.137  0.709
Fe  0.000  0.628  0.704
Fe  0.000  0.867  0.215
Fe  0.246  0.613  0.270
Fe  0.248  0.114  0.274
Fe  0.252  0.886  0.774
Fe  0.254  0.387  0.770
Fe  0.500  0.133  0.715
Fe  0.500  0.372  0.204
Fe  0.500  0.863  0.209
Fe  0.746  0.387  0.770
Fe  0.748  0.886  0.774
Fe  0.752  0.114  0.274
Fe  0.754  0.613  0.270
P  0.000  0.084  0.406
P  0.000  0.416  0.894
P  0.000  0.585  0.392
P  0.000  0.913  0.895
P  0.249  0.668  0.587
P  0.249  0.832  0.087
P  0.251  0.168  0.587
P  0.251  0.332  0.087
P  0.500  0.087  0.395
P  0.500  0.415  0.892
P  0.500  0.584  0.394
P  0.500  0.916  0.906
P  0.749  0.168  0.587
P  0.749  0.332  0.087
P  0.751  0.668  0.587
P  0.751  0.832  0.087
O  0.000  0.012  0.542
O  0.000  0.242  0.417
O  0.000  0.255  0.891
O  0.000  0.482  0.027
O  0.000  0.526  0.536
O  0.000  0.747  0.393
O  0.000  0.751  0.885
O  0.000  0.972  0.035
O  0.099  0.483  0.813
O  0.101  0.018  0.333
O  0.102  0.980  0.827
O  0.105  0.523  0.330
O  0.137  0.727  0.650
O  0.148  0.765  0.159
O  0.151  0.236  0.661
O  0.159  0.255  0.159
O  0.248  0.494  0.094
O  0.248  0.769  0.949
O  0.249  0.007  0.590
O  0.249  0.278  0.945
O  0.251  0.722  0.445
O  0.251  0.993  0.090
O  0.252  0.231  0.449
O  0.252  0.506  0.594
O  0.341  0.745  0.659
O  0.349  0.764  0.161
O  0.352  0.235  0.659
O  0.363  0.273  0.150
O  0.395  0.477  0.830
O  0.398  0.020  0.327
O  0.399  0.982  0.833
O  0.401  0.517  0.313
O  0.500  0.028  0.535
O  0.500  0.249  0.385
O  0.500  0.253  0.893
O  0.500  0.474  0.036
O  0.500  0.518  0.527
O  0.500  0.745  0.391
O  0.500  0.758  0.917
O  0.500  0.988  0.042
O  0.599  0.517  0.313
O  0.601  0.982  0.833
O  0.602  0.020  0.327
O  0.605  0.477  0.830
O  0.637  0.273  0.150
O  0.648  0.235  0.659
O  0.651  0.764  0.161
O  0.659  0.745  0.659
O  0.748  0.231  0.449
O  0.748  0.506  0.594
O  0.749  0.722  0.445
O  0.749  0.993  0.090
O  0.751  0.007  0.590
O  0.751  0.278  0.945
O  0.752  0.494  0.094
O  0.752  0.769  0.949
O  0.841  0.255  0.159
O  0.849  0.236  0.661
O  0.852  0.765  0.159
O  0.863  0.727  0.650
O  0.895  0.523  0.330
O  0.898  0.980  0.827
O  0.899  0.018  0.333
O  0.901  0.483  0.813

***

*2*
Below is Li8Fe7P8O32 after structural relaxation, with properties calculated at the GGA+U level.

Summary:
Space group: Cm, No. 8

a = 7.758 Å, b = 7.758 Å, c = 11.314 Å
α = 104.95°, β = 104.95°, γ = 103.77°
Positions (direct):
Li  0.118  0.882  0.000
Li  0.122  0.882  0.475
Li  0.387  0.632  0.497
Li  0.399  0.636  0.998
Li  0.632  0.387  0.497
Li  0.636  0.399  0.998
Li  0.882  0.118  0.000
Li  0.882  0.122  0.475
Fe  0.353  0.353  0.714
Fe  0.372  0.372  0.211
Fe  0.383  0.882  0.771
Fe  0.405  0.901  0.274
Fe  0.855  0.855  0.712
Fe  0.882  0.383  0.771
Fe  0.901  0.405  0.274
P  0.014  0.514  0.587
P  0.104  0.596  0.092
P  0.163  0.163  0.899
P  0.249  0.249  0.404
P  0.514  0.014  0.587
P  0.596  0.104  0.092
P  0.664  0.664  0.895
P  0.743  0.743  0.395
O  0.083  0.383  0.659
O  0.084  0.580  0.950
O  0.098  0.098  0.415
O  0.130  0.804  0.169
O  0.164  0.960  0.830
O  0.170  0.170  0.039
O  0.170  0.377  0.328
O  0.175  0.674  0.589
O  0.309  0.591  0.160
O  0.322  0.322  0.895
O  0.377  0.170  0.328
O  0.380  0.885  0.444
O  0.383  0.083  0.659
O  0.393  0.393  0.537
O  0.445  0.945  0.104
O  0.460  0.663  0.820
O  0.579  0.875  0.652
O  0.580  0.084  0.950
O  0.581  0.581  0.394
O  0.591  0.309  0.160
O  0.661  0.876  0.330
O  0.663  0.460  0.820
O  0.669  0.669  0.032
O  0.674  0.175  0.589
O  0.804  0.130  0.169
O  0.825  0.825  0.892
O  0.875  0.579  0.652
O  0.876  0.661  0.330
O  0.877  0.877  0.534
O  0.885  0.380  0.444
O  0.945  0.445  0.104
O  0.960  0.164  0.830

***

Stability ranking, top entry: *2*; the second entry is 193 meV/atom less favorable.